# 1
Density functional theory data (PBE) for K3Cu4S4 after structural relaxation.

## Properties
**Spin magnetization**: 0.0 μB/f.u.
**E_form**: -82.2 kJ/mol of atoms

Cell: 3.828 7.865 15.697 Å, 90.00 90.00 90.00°
Fractional coordinates of all 22 atoms:
K (0.500, 0.018, 0.231)
K (0.500, 0.982, 0.769)
K (0.500, 0.482, 0.731)
K (0.500, 0.518, 0.269)
K (0.000, 0.000, 0.000)
K (0.000, 0.500, 0.500)
Cu (0.000, 0.071, 0.415)
Cu (0.000, 0.929, 0.585)
Cu (0.000, 0.429, 0.915)
Cu (0.000, 0.571, 0.085)
Cu (0.500, 0.349, 0.060)
Cu (0.500, 0.651, 0.940)
Cu (0.500, 0.151, 0.560)
Cu (0.500, 0.849, 0.440)
S (0.000, 0.300, 0.140)
S (0.000, 0.700, 0.860)
S (0.000, 0.200, 0.640)
S (0.000, 0.800, 0.360)
S (0.500, 0.227, 0.416)
S (0.500, 0.773, 0.584)
S (0.500, 0.273, 0.916)
S (0.500, 0.727, 0.084)


# 2
Density functional theory data (PBE) for K3Cu8S6 after structural relaxation.

## Properties
**E_form**: -64.7 kJ/mol of atoms

Cell: 8.879 8.879 9.871 Å, 73.89 73.89 25.08°
Fractional coordinates of all 17 atoms:
K (0.693, 0.693, 0.705)
K (0.307, 0.307, 0.295)
K (0.500, 0.500, 0.000)
Cu (0.514, 0.514, 0.360)
Cu (0.486, 0.486, 0.640)
Cu (0.696, 0.696, 0.087)
Cu (0.910, 0.910, 0.536)
Cu (0.090, 0.090, 0.464)
Cu (0.907, 0.907, 0.797)
Cu (0.093, 0.093, 0.203)
Cu (0.304, 0.304, 0.913)
S (0.347, 0.347, 0.653)
S (0.839, 0.839, 0.024)
S (0.161, 0.161, 0.976)
S (0.653, 0.653, 0.347)
S (0.044, 0.044, 0.703)
S (0.956, 0.956, 0.297)